No. 1
64
Lattice="10.940 0.000 0.000 0.000 9.309 0.000 0.000 2.402 9.773" Properties=species:S:1:pos:R:3 comment="KFeS2O12 | the Materials Project | PBE+U | relaxed" energy_ev_per_atom=-5.45 space_group=P2_1/c crystal_system=monoclinic density_kg_m3=2343 formation_energy_ev_per_fu=-14.2 total_magnetization_mub_per_fu=9.00 corrected_energy_ev_per_atom=-5.7142 pbc="T T T"
O 6.352 3.611 2.007
Fe 9.130 10.193 6.822
S 0.110 8.555 4.569
O 10.725 4.134 1.445
O 1.389 8.528 5.287
O 4.082 3.874 5.287
K 2.362 6.013 6.682
O 8.524 6.264 5.723
O 5.612 2.620 3.854
O 8.151 1.150 0.315
O 9.078 11.256 8.510
O 10.809 2.045 6.270
O 9.906 8.849 5.476
O 1.863 0.455 1.263
O 6.505 4.195 5.476
O 8.213 8.678 7.678
O 10.653 2.924 1.668
S 5.580 7.810 5.204
O 5.757 7.579 1.668
O 3.608 5.109 1.263
O 5.329 9.090 5.919
O 10.799 7.274 3.854
O 4.588 8.099 7.766
O 0.141 4.436 5.919
K 3.109 10.668 6.682
O 7.333 6.601 8.510
O 10.058 8.265 2.007
O 4.781 3.015 0.728
O 0.690 7.669 0.728
O 2.743 7.686 2.095
O 8.198 4.024 7.678
O 6.160 8.695 9.045
O 2.790 10.560 9.458
O 5.686 8.788 1.445
S 2.035 8.310 0.923
K 7.832 1.043 3.091
S 3.436 3.656 0.923
O 0.132 9.665 3.503
O 2.681 5.906 9.458
O 2.416 5.447 4.049
S 8.906 3.400 8.850
K 8.579 5.697 3.091
Fe 7.281 5.539 6.822
O 4.436 7.515 4.297
O 5.602 6.699 6.270
O 5.339 5.011 3.503
O 1.034 2.861 4.297
S 7.505 8.054 8.850
O 0.882 3.445 7.766
O 7.886 1.609 5.723
S 10.830 3.156 5.204
Fe 3.660 6.171 2.950
O 8.260 5.805 0.315
O 5.183 4.132 8.105
O 0.287 8.786 8.105
S 5.360 3.900 4.569
O 10.251 4.041 9.045
O 9.552 3.182 4.485
Fe 1.811 1.517 2.950
O 3.054 10.101 4.049
O 0.216 7.576 8.328
O 2.728 3.032 2.095
O 5.255 2.922 8.328
O 6.859 7.836 4.485


No. 2
48
Lattice="-7.989 0.228 2.301 1.762 4.896 8.038 -0.713 9.495 -1.009" Properties=species:S:1:pos:R:3 comment="KFeS2O8 | the Materials Project | PBE+U | relaxed" energy_ev_per_atom=-6.14 density_kg_m3=2744 formation_energy_ev_per_fu=-23.9 total_magnetization_mub_per_fu=0.00 corrected_energy_ev_per_atom=-6.7818 pbc="T T T"
O -2.655 6.850 8.836
Fe -2.852 6.160 6.927
S -1.999 13.019 7.165
K -3.114 2.562 5.170
O -2.170 4.605 2.935
O -3.317 8.080 6.418
O -2.386 4.240 7.436
O 0.059 9.116 3.005
O -6.073 0.648 1.991
K 0.262 3.598 1.757
O -5.546 3.569 6.347
O -1.395 11.049 2.983
S -5.899 4.788 7.063
O -8.237 7.803 1.801
S -2.523 5.824 3.651
O -3.893 9.150 4.313
O -6.005 8.039 2.714
Fe 0.524 7.195 3.514
O -0.936 6.580 6.616
S 0.196 7.531 6.790
O -4.554 10.379 1.894
O -5.549 7.844 5.505
O 1.296 6.816 7.529
O -6.784 5.869 1.824
S -7.136 7.087 2.540
Fe -8.702 9.723 1.292
O -4.285 7.769 0.494
O -6.999 5.503 6.325
O -3.624 6.539 2.912
S -1.042 9.831 2.267
O -6.423 4.433 8.429
K -4.351 4.861 0.646
S -4.941 1.600 2.165
O -7.661 6.733 3.906
O -1.392 6.775 3.825
O -0.517 10.185 0.900
O -4.767 5.739 7.237
O -1.646 11.801 6.449
Fe -4.089 8.459 2.403
O -0.868 13.970 7.339
O -4.770 10.014 6.395
O -3.048 5.469 5.017
O -0.157 8.750 7.506
S -4.417 8.795 5.679
K 0.786 10.793 5.271
O -2.174 8.880 2.093
O -5.294 2.818 2.881
O 0.720 7.886 5.424


No. 3
76
Lattice="10.145 0.000 0.000 0.000 10.145 0.000 0.000 0.000 10.145" Properties=species:S:1:pos:R:3 comment="K2Fe2S3O12 | the Materials Project | PBE+U | relaxed" energy_ev_per_atom=-5.97 space_group=P2_13 crystal_system=cubic density_kg_m3=3041 formation_energy_ev_per_fu=-35.2 total_magnetization_mub_per_fu=0.00 corrected_energy_ev_per_atom=-6.6376 pbc="T T T"
S 9.953 7.295 1.252
Fe 4.120 0.952 9.193
O 4.487 2.628 5.071
Fe 6.025 6.025 6.025
O 8.530 7.588 0.958
O 4.706 1.931 7.347
S 5.265 2.850 6.324
O 9.329 8.410 5.036
O 5.658 7.700 0.002
O 10.108 5.888 1.735
O 3.142 2.798 9.778
O 0.002 5.658 7.700
S 2.223 3.821 0.192
K 8.271 8.271 8.271
S 7.295 1.252 9.953
K 5.588 4.557 9.630
Fe 9.193 4.120 0.952
O 5.071 4.487 2.628
S 2.850 6.324 5.265
O 8.214 2.275 0.367
O 5.439 7.003 7.870
K 3.199 6.946 1.874
O 7.870 5.439 7.003
S 3.821 0.192 2.223
O 7.588 0.958 8.530
K 1.874 3.199 6.946
O 9.187 3.457 7.630
O 10.143 0.586 7.517
O 6.808 5.109 4.257
O 7.630 9.187 3.457
O 1.615 2.515 4.114
O 5.109 4.257 6.808
O 7.700 0.002 5.658
Fe 8.473 1.672 6.744
O 0.816 3.337 0.037
O 7.517 10.143 0.586
O 4.114 1.615 2.515
S 0.192 2.223 3.821
O 0.586 7.517 10.143
O 0.958 8.530 7.588
O 0.037 0.816 3.337
O 2.445 5.074 9.559
Fe 3.401 3.401 3.401
S 1.252 9.953 7.295
O 2.275 0.367 8.214
O 7.347 4.706 1.931
O 6.688 2.557 6.031
Fe 6.744 8.473 1.672
S 7.922 8.893 4.880
O 8.410 5.036 9.329
O 2.557 6.031 6.688
O 3.337 0.037 0.816
O 2.515 4.114 1.615
O 9.778 3.142 2.798
K 9.630 5.588 4.557
S 4.880 7.922 8.893
O 5.888 1.735 10.108
O 0.367 8.214 2.275
O 5.074 9.559 2.445
O 6.031 6.688 2.557
O 2.798 9.778 3.142
S 6.324 5.265 2.850
O 3.457 7.630 9.187
O 7.003 7.870 5.439
O 2.628 5.071 4.487
S 8.893 4.880 7.922
O 9.559 2.445 5.074
O 1.735 10.108 5.888
O 1.931 7.347 4.706
K 0.515 0.515 0.515
O 5.036 9.329 8.410
O 4.257 6.808 5.109
K 6.946 1.874 3.199
Fe 0.952 9.193 4.120
Fe 1.672 6.744 8.473
K 4.557 9.630 5.588


No. 4
12
Lattice="4.749 0.012 0.337 2.015 4.375 0.385 -0.063 0.011 7.989" Properties=species:S:1:pos:R:3 comment="KFeS2O8 | the Materials Project | PBE+U | relaxed" energy_ev_per_atom=-5.98 space_group=P-1 crystal_system=triclinic density_kg_m3=2874 formation_energy_ev_per_fu=-22.1 total_magnetization_mub_per_fu=1.00 corrected_energy_ev_per_atom=-6.6279 pbc="T T T"
O 2.045 1.409 5.323
Fe 4.749 0.012 0.337
O 5.147 3.332 0.975
S 2.458 1.626 6.702
K 6.733 4.393 4.716
O 4.656 2.990 3.388
O 2.606 3.100 6.955
O 4.095 1.299 1.756
S 4.244 2.772 2.009
O 2.869 3.401 1.843
O 3.832 0.997 6.868
O 1.554 1.066 7.736


No. 5
18
Lattice="0.000 3.844 3.847 0.000 -3.844 3.847 7.664 0.000 0.000" Properties=species:S:1:pos:R:3 comment="KSmFe4O12 | the Materials Project | PBE+U | relaxed" energy_ev_per_atom=-5.95 space_group=Amm2 crystal_system=orthorhombic density_kg_m3=4432 formation_energy_ev_per_fu=-25.2 total_magnetization_mub_per_fu=19.55 corrected_energy_ev_per_atom=-6.9048 pbc="T T T"
K 3.832 0.000 7.676
O 3.832 -1.854 1.938
O 1.892 0.000 5.659
Sm 0.000 0.000 3.910
O 5.884 -1.852 3.845
O 5.771 0.000 5.659
O 0.000 1.777 5.720
O 1.690 0.000 2.038
O 3.832 1.854 1.938
O 5.884 1.852 3.845
O 1.780 -1.852 3.845
Fe 5.717 1.912 1.925
O 5.974 0.000 2.038
Fe 5.717 -1.912 1.925
Fe 1.946 1.912 1.925
O 0.000 -1.777 5.720
Fe 1.946 -1.912 1.925
O 1.780 1.852 3.845


No. 6
10
Lattice="0.000 -4.142 -4.142 4.142 0.000 -4.142 4.142 -4.142 0.000" Properties=species:S:1:pos:R:3 comment="KSrSmFeO6 | the Materials Project | PBE+U | relaxed" energy_ev_per_atom=-6.16 space_group=F-43m crystal_system=cubic density_kg_m3=5013 formation_energy_ev_per_fu=-22.3 total_magnetization_mub_per_fu=4.00 corrected_energy_ev_per_atom=-6.7952 pbc="T T T"
K 6.212 -6.212 -6.212
O 4.142 -4.142 -1.872
O 1.872 -4.142 -4.142
O 6.411 -4.142 -4.142
O 4.142 -6.411 -4.142
Fe 0.000 0.000 0.000
Sr 2.071 -2.071 -2.071
Sm 4.142 -4.142 -4.142
O 4.142 -4.142 -6.411
O 4.142 -1.872 -4.142


No. 7
18
Lattice="0.000 -3.820 -3.846 0.000 -3.820 3.846 -7.620 0.000 0.000" Properties=species:S:1:pos:R:3 comment="KTbFe4O12 | the Materials Project | PBE+U | relaxed" energy_ev_per_atom=-5.94 space_group=Amm2 crystal_system=orthorhombic density_kg_m3=4549 formation_energy_ev_per_fu=-25.2 total_magnetization_mub_per_fu=19.37 corrected_energy_ev_per_atom=-6.8994 pbc="T T T"
Fe -5.730 -5.715 1.918
O 0.000 -5.629 1.897
O -5.420 -3.820 1.759
O -3.810 -5.520 -1.838
Fe -5.730 -1.926 1.918
O -2.077 -1.949 0.006
O -2.200 -3.820 1.759
Tb -3.810 -3.820 -0.113
O -3.810 -2.121 -1.838
Fe -1.890 -5.715 1.918
O -2.077 -5.692 0.006
O -5.543 -5.692 0.006
Fe -1.890 -1.926 1.918
O -5.543 -1.949 0.006
K 0.000 -3.820 -3.808
O 0.000 -2.012 1.897
O -1.914 -3.820 -1.767
O -5.706 -3.820 -1.767


No. 8
13
Lattice="2.593 1.453 -0.450 4.868 -4.702 2.831 -0.602 -3.975 -6.261" Properties=species:S:1:pos:R:3 comment="KTi3FeO8 | the Materials Project | PBE+U | relaxed" energy_ev_per_atom=-8.01 space_group=Cm crystal_system=monoclinic density_kg_m3=3869 formation_energy_ev_per_fu=-39.0 total_magnetization_mub_per_fu=5.00 corrected_energy_ev_per_atom=-8.6023 pbc="T T T"
O 2.763 -2.864 -3.365
Ti 3.252 -2.629 0.214
O 4.943 -2.241 1.166
Fe 3.588 -4.544 -4.030
O 5.138 -6.516 -1.467
O 4.087 -4.338 -0.494
O 1.937 -5.051 -5.144
O 2.735 -5.698 -2.632
O 4.135 -1.535 -1.205
Ti 5.841 -4.621 -1.335
O 1.726 -0.715 -2.405
K 2.608 1.428 -0.443
Ti 0.992 -2.572 -2.585